# 1
Computed, not measured: Nd2Sn3 after structural relaxation at the meta-GGA r2SCAN level of DFT.

Values from the calculation:
The energy is -27.40 eV per atom. Its calculated formation energy is -3.9 eV/f.u.

Cell and atoms, written as POSCAR:
```
Nd2Sn3
1.0
6.4511 0.0000 0.0000
-1.5031 8.4161 0.0000
-1.3376 -3.6573 10.4962
Nd Sn
8 12
Direct
0.0407 0.2462 0.4447
0.1277 0.2511 0.8815
0.3314 0.5345 0.2454
0.4442 0.0693 0.1640
0.5558 0.9307 0.8360
0.6686 0.4655 0.7546
0.8723 0.7489 0.1185
0.9593 0.7538 0.5553
0.0466 0.8522 0.8815
0.1774 0.5404 0.7233
0.2237 0.9064 0.3643
0.3266 0.1009 0.6375
0.3540 0.6646 0.9980
0.4383 0.6667 0.5531
0.5617 0.3333 0.4469
0.6460 0.3354 0.0020
0.6734 0.8991 0.3625
0.7763 0.0936 0.6357
0.8226 0.4596 0.2767
0.9534 0.1478 0.1185
```

# 2
Computed, not measured: Nd5Sn4 after structural relaxation at the meta-GGA r2SCAN level of DFT.

Values from the calculation:
The energy is -28.24 eV per atom. Its calculated formation energy is -8.0 eV/f.u.

Cell and atoms, written as POSCAR:
```
Nd5Sn4
1.0
8.3476 0.0000 0.0000
0.0000 15.9804 0.0000
0.0000 0.0000 8.4466
Nd Sn
20 16
Direct
0.0281 0.1010 0.1785
0.0281 0.3990 0.1785
0.1208 0.6182 0.3384
0.1208 0.8818 0.3384
0.2081 0.2500 0.5032
0.2919 0.7500 0.0032
0.3792 0.1182 0.8384
0.3792 0.3818 0.8384
0.4719 0.6010 0.6785
0.4719 0.8990 0.6785
0.5281 0.1010 0.3215
0.5281 0.3990 0.3215
0.6208 0.6182 0.1616
0.6208 0.8818 0.1616
0.7081 0.2500 0.9968
0.7919 0.7500 0.4968
0.8792 0.1182 0.6616
0.8792 0.3818 0.6616
0.9719 0.6010 0.8215
0.9719 0.8990 0.8215
0.0799 0.2500 0.8856
0.1686 0.7500 0.6399
0.2192 0.0434 0.5319
0.2192 0.4566 0.5319
0.2808 0.5434 0.0319
0.2808 0.9566 0.0319
0.3314 0.2500 0.1399
0.4201 0.7500 0.3856
0.5799 0.2500 0.6144
0.6686 0.7500 0.8601
0.7192 0.0434 0.9681
0.7192 0.4566 0.9681
0.7808 0.5434 0.4681
0.7808 0.9566 0.4681
0.8314 0.2500 0.3601
0.9201 0.7500 0.1144
```

# 3
Computed, not measured: Nd3Sn7 after structural relaxation at the meta-GGA r2SCAN level of DFT.

Values from the calculation:
The energy is -26.77 eV per atom. Its calculated formation energy is -6.2 eV/f.u.

Cell and atoms, written as POSCAR:
```
Nd3Sn7
1.0
2.2509 -13.3249 0.0000
2.2509 13.3249 0.0000
0.0000 0.0000 4.5966
Nd Sn
3 7
Direct
0.0000 0.0000 0.0000
0.1845 0.8155 0.0000
0.8155 0.1845 0.0000
0.0956 0.9044 0.5000
0.2866 0.7134 0.5000
0.4052 0.5948 0.0000
0.5000 0.5000 0.5000
0.5948 0.4052 0.0000
0.7134 0.2866 0.5000
0.9044 0.0956 0.5000
```